Below is an optimized crystal structure of Li3MnVP3O12, with properties calculated at the PBE+U level.

## Properties
- ΔH_f (0 K) (eV per atom) = -2.61
- VASP energy (eV/atom) = -7.0059
- energy above the most stable polymorph in this dataset (meV/atom) = 48
- total energy after the MP2020 corrections (eV per cell) = -606.92
- spin magnetization (μB/f.u.) = 6.0

Unit cell a=8.766 b=8.792 c=14.455 alpha=73.65 beta=74.58 gamma=61.03
Atoms (fractional coordinates):
Li1 0.140 0.013 0.112
Li2 0.499 0.000 0.000
Li3 0.235 0.110 0.638
Li4 0.746 0.253 0.249
Li5 0.358 0.487 0.386
Li6 0.267 0.392 0.863
Li7 0.733 0.608 0.137
Li8 0.641 0.515 0.612
Li9 0.251 0.751 0.750
Li10 0.996 0.503 0.502
Li11 0.764 0.892 0.364
Li12 0.859 0.986 0.888
Mn1 0.822 0.327 0.035
Mn2 0.180 0.671 0.965
Mn3 0.925 0.427 0.715
Mn4 0.321 0.829 0.535
V1 0.577 0.067 0.787
V2 0.682 0.175 0.463
V3 0.075 0.571 0.287
V4 0.422 0.932 0.213
P1 0.133 0.332 0.117
P2 0.366 0.170 0.382
P3 0.182 0.066 0.877
P4 0.918 0.118 0.635
P5 0.324 0.426 0.624
P6 0.416 0.619 0.132
P7 0.586 0.381 0.867
P8 0.676 0.574 0.375
P9 0.082 0.882 0.370
P10 0.822 0.930 0.124
P11 0.632 0.832 0.616
P12 0.869 0.665 0.881
O1 0.280 0.142 0.113
O2 0.381 0.089 0.298
O3 0.328 0.060 0.482
O4 0.171 0.442 0.017
O5 0.113 0.412 0.202
O6 0.812 0.110 0.128
O7 0.113 0.184 0.782
O8 0.545 0.182 0.365
O9 0.064 0.137 0.970
O10 0.892 0.032 0.365
O11 0.217 0.360 0.385
O12 0.366 0.050 0.880
O13 0.141 0.438 0.622
O14 0.842 0.136 0.547
O15 0.339 0.631 0.046
O16 0.443 0.355 0.531
O17 0.801 0.087 0.731
O18 0.604 0.471 0.141
O19 0.397 0.304 0.719
O20 0.300 0.589 0.230
O21 0.952 0.322 0.131
O22 0.578 0.200 0.885
O23 0.692 0.392 0.370
O24 0.071 0.704 0.386
O25 0.927 0.301 0.618
O26 0.312 0.607 0.627
O27 0.424 0.800 0.115
O28 0.048 0.678 0.868
O29 0.699 0.417 0.769
O30 0.603 0.697 0.281
O31 0.397 0.528 0.859
O32 0.193 0.917 0.271
O33 0.561 0.639 0.469
O34 0.663 0.368 0.954
O35 0.162 0.867 0.455
O36 0.861 0.558 0.377
O37 0.637 0.947 0.123
O38 0.779 0.645 0.609
O39 0.106 0.970 0.643
O40 0.937 0.861 0.030
O41 0.450 0.822 0.632
O42 0.896 0.807 0.218
O43 0.193 0.883 0.874
O44 0.890 0.584 0.796
O45 0.831 0.557 0.981
O46 0.662 0.949 0.518
O47 0.613 0.909 0.702
O48 0.721 0.856 0.884